Model 1:
# LiFeF3 (PBE+U, relaxed)
data_LiFeF3
_cell_length_a 6.556
_cell_length_b 6.675
_cell_length_c 8.805
_cell_angle_alpha 90.58
_cell_angle_beta 104.57
_cell_angle_gamma 96.81
_space_group_name_H-M_alt 'P -1'
_space_group_IT_number 2
_space_group_name_Hall '-P 1'
loop_
_atom_site_label
_atom_site_type_symbol
_atom_site_fract_x
_atom_site_fract_y
_atom_site_fract_z
Li1 Li 0.025 0.400 0.298
Li2 Li 0.205 0.806 0.021
Li3 Li 0.348 0.942 0.743
Fe1 Fe 0.244 0.858 0.419
Fe2 Fe 0.292 0.312 0.000
Fe3 Fe 0.426 0.436 0.668
F1 F 0.053 0.330 0.098
F2 F 0.104 0.807 0.592
F3 F 0.161 0.393 0.752
F4 F 0.178 0.910 0.204
F5 F 0.287 0.028 0.917
F6 F 0.295 0.538 0.428
F7 F 0.414 0.131 0.586
F8 F 0.424 0.627 0.086
F9 F 0.493 0.279 0.239
# * magnetization: 24.00 μB/cell

=====

Model 2:
# LiFeF3 (PBE+U, relaxed)
data_LiFeF3
_cell_length_a 5.8376
_cell_length_b 5.8376
_cell_length_c 35.4838
_cell_angle_alpha 90.00
_cell_angle_beta 90.00
_cell_angle_gamma 120.00
_space_group_name_H-M_alt 'R -3 c'
_space_group_IT_number 167
_space_group_name_Hall '-R 3 2"c'
loop_
_atom_site_label
_atom_site_type_symbol
_atom_site_fract_x
_atom_site_fract_y
_atom_site_fract_z
Li1 Li 0.0000 0.3172 0.2500
Fe1 Fe 0.0000 0.0000 0.0000
Fe2 Fe 0.0000 0.0000 0.1555
F1 F 0.0000 0.0000 0.0940
F2 F 0.0000 0.0000 0.2500
F3 F 0.0097 0.3667 0.8572
# * magnetization: 72.00 μB/cell

=====

Here are the energies relative to the best structure, in eV/atom: model 1 0.000; model 2 0.131.

=====

Model 1:
# LiFeF3 (PBE+U, relaxed)
data_LiFeF3
_cell_length_a 6.467
_cell_length_b 3.998
_cell_length_c 9.913
_cell_angle_alpha 90.00
_cell_angle_beta 90.00
_cell_angle_gamma 90.00
_space_group_name_H-M_alt 'P n m a'
_space_group_IT_number 62
_space_group_name_Hall '-P 2ac 2n'
loop_
_atom_site_label
_atom_site_type_symbol
_atom_site_fract_x
_atom_site_fract_y
_atom_site_fract_z
Li1 Li 0.221 0.250 0.058
Fe1 Fe 0.075 0.250 0.742
F1 F 0.098 0.750 0.715
F2 F 0.155 0.750 0.104
F3 F 0.187 0.750 0.382
# * magnetization: 16.00 μB/cell

=====

Model 2:
# LiFeF3 (PBE+U, relaxed)
data_LiFeF3
_cell_length_a 7.021
_cell_length_b 7.237
_cell_length_c 7.875
_cell_angle_alpha 94.45
_cell_angle_beta 102.94
_cell_angle_gamma 90.09
_space_group_name_H-M_alt 'P -1'
_space_group_IT_number 2
_space_group_name_Hall '-P 1'
loop_
_atom_site_label
_atom_site_type_symbol
_atom_site_fract_x
_atom_site_fract_y
_atom_site_fract_z
Li1 Li 0.074 0.245 0.337
Li2 Li 0.266 0.454 0.082
Li3 Li 0.406 0.758 0.669
Fe1 Fe 0.075 0.746 0.274
Fe2 Fe 0.239 0.960 0.963
Fe3 Fe 0.437 0.260 0.736
F1 F 0.094 0.007 0.177
F2 F 0.100 0.471 0.243
F3 F 0.150 0.230 0.579
F4 F 0.181 0.812 0.730
F5 F 0.222 0.248 0.917
F6 F 0.268 0.709 0.077
F7 F 0.366 0.778 0.430
F8 F 0.480 0.535 0.769
F9 F 0.499 0.996 0.825
# * magnetization: 24.00 μB/cell

=====

Here are the energies relative to the best structure, in eV/atom: model 1 0.000; model 2 0.005.

=====

Model 1:
# LiFeF3 (PBE+U, relaxed)
data_LiFeF3
_cell_length_a 3.235
_cell_length_b 6.304
_cell_length_c 6.305
_cell_angle_alpha 70.40
_cell_angle_beta 89.80
_cell_angle_gamma 89.81
_space_group_name_H-M_alt 'P 1'
_space_group_IT_number 1
_space_group_name_Hall 'P 1'
loop_
_atom_site_label
_atom_site_type_symbol
_atom_site_fract_x
_atom_site_fract_y
_atom_site_fract_z
Li1 Li 0.000 0.000 0.000
Li2 Li 0.001 0.499 0.507
Fe1 Fe 0.499 0.000 0.506
Fe2 Fe 0.499 0.498 0.006
F1 F 0.000 0.553 0.192
F2 F 0.490 0.137 0.147
F3 F 0.490 0.857 0.867
F4 F 0.997 0.436 0.824
F5 F 0.997 0.814 0.452
F6 F 0.999 0.181 0.569
# * magnetization: 8.00 μB/cell

=====

Model 2:
# LiFeF3 (PBE+U, relaxed)
data_LiFeF3
_cell_length_a 3.205
_cell_length_b 7.408
_cell_length_c 4.945
_cell_angle_alpha 90.00
_cell_angle_beta 90.06
_cell_angle_gamma 90.00
_space_group_name_H-M_alt 'P 1 21/m 1'
_space_group_IT_number 11
_space_group_name_Hall '-P 2yb'
loop_
_atom_site_label
_atom_site_type_symbol
_atom_site_fract_x
_atom_site_fract_y
_atom_site_fract_z
Li1 Li 0.004 0.250 0.468
Fe1 Fe 0.500 0.000 0.000
F1 F 0.016 0.067 0.756
F2 F 0.497 0.750 0.769
# * magnetization: 8.00 μB/cell

=====

Here are the energies relative to the best structure, in eV/atom: model 1 0.037; model 2 0.000.

=====

Model 1:
# LiFeF3 (PBE+U, relaxed)
data_LiFeF3
_cell_length_a 9.135
_cell_length_b 5.236
_cell_length_c 5.587
_cell_angle_alpha 90.00
_cell_angle_beta 122.11
_cell_angle_gamma 90.00
_space_group_name_H-M_alt 'C 1 c 1'
_space_group_IT_number 9
_space_group_name_Hall 'C -2yc'
loop_
_atom_site_label
_atom_site_type_symbol
_atom_site_fract_x
_atom_site_fract_y
_atom_site_fract_z
Li1 Li 0.000 0.245 0.000
Fe1 Fe 0.291 0.250 0.874
F1 F 0.041 0.095 0.669
F2 F 0.231 0.395 0.157
F3 F 0.391 0.069 0.671
# * magnetization: 16.00 μB/cell

=====

Model 2:
# LiFeF3 (PBE+U, relaxed)
data_LiFeF3
_cell_length_a 14.5934
_cell_length_b 14.5934
_cell_length_c 7.7638
_cell_angle_alpha 90.00
_cell_angle_beta 90.00
_cell_angle_gamma 120.00
_space_group_name_H-M_alt 'R -3'
_space_group_IT_number 148
_space_group_name_Hall '-R 3'
loop_
_atom_site_label
_atom_site_type_symbol
_atom_site_fract_x
_atom_site_fract_y
_atom_site_fract_z
Li1 Li 0.0166 0.1760 0.3978
Fe1 Fe 0.0467 0.2682 0.7580
F1 F 0.0098 0.4256 0.1709
F2 F 0.0220 0.8728 0.3609
F3 F 0.0673 0.5923 0.4344
# * magnetization: 72.00 μB/cell

=====

Here are the energies relative to the best structure, in eV/atom: model 1 0.000; model 2 0.068.

=====

Model 1:
# LiFeF3 (PBE+U, relaxed)
data_LiFeF3
_cell_length_a 4.832
_cell_length_b 5.063
_cell_length_c 5.076
_cell_angle_alpha 61.27
_cell_angle_beta 89.91
_cell_angle_gamma 89.87
_space_group_name_H-M_alt 'P 1'
_space_group_IT_number 1
_space_group_name_Hall 'P 1'
loop_
_atom_site_label
_atom_site_type_symbol
_atom_site_fract_x
_atom_site_fract_y
_atom_site_fract_z
Li1 Li 0.000 0.000 0.000
Li2 Li 0.500 0.001 0.003
Fe1 Fe 0.002 0.335 0.334
Fe2 Fe 0.502 0.667 0.666
F1 F 0.251 0.317 0.003
F2 F 0.251 0.685 0.316
F3 F 0.252 0.996 0.685
F4 F 0.751 0.007 0.315
F5 F 0.751 0.318 0.685
F6 F 0.752 0.686 0.997
# * magnetization: 8.00 μB/cell

=====

Model 2:
# LiFeF3 (PBE+U, relaxed)
data_LiFeF3
_cell_length_a 5.329
_cell_length_b 8.093
_cell_length_c 5.049
_cell_angle_alpha 90.00
_cell_angle_beta 90.00
_cell_angle_gamma 90.00
_space_group_name_H-M_alt 'P n m a'
_space_group_IT_number 62
_space_group_name_Hall '-P 2ac 2n'
loop_
_atom_site_label
_atom_site_type_symbol
_atom_site_fract_x
_atom_site_fract_y
_atom_site_fract_z
Li1 Li 0.000 0.000 0.000
Fe1 Fe 0.074 0.250 0.459
F1 F 0.075 0.750 0.167
F2 F 0.203 0.590 0.704
# * magnetization: 16.00 μB/cell

=====

Here are the energies relative to the best structure, in eV/atom: model 1 0.000; model 2 0.027.

=====

Model 1:
# LiFeF3 (PBE+U, relaxed)
data_LiFeF3
_cell_length_a 5.801
_cell_length_b 5.815
_cell_length_c 23.270
_cell_angle_alpha 89.96
_cell_angle_beta 89.96
_cell_angle_gamma 60.46
_space_group_name_H-M_alt 'P -1'
_space_group_IT_number 2
_space_group_name_Hall '-P 1'
loop_
_atom_site_label
_atom_site_type_symbol
_atom_site_fract_x
_atom_site_fract_y
_atom_site_fract_z
Li1 Li 0.004 0.166 0.127
Li2 Li 0.004 0.825 0.376
Li3 Li 0.323 0.495 0.624
Li4 Li 0.324 0.179 0.377
Li5 Li 0.334 0.162 0.873
Li6 Li 0.337 0.504 0.127
Fe1 Fe 0.000 0.500 0.000
Fe2 Fe 0.000 0.500 0.500
Fe3 Fe 0.003 0.504 0.240
Fe4 Fe 0.332 0.827 0.732
Fe5 Fe 0.333 0.834 0.484
Fe6 Fe 0.333 0.835 0.985
Fe7 Fe 0.335 0.838 0.238
F1 F 0.002 0.502 0.137
F2 F 0.003 0.501 0.384
F3 F 0.045 0.794 0.288
F4 F 0.045 0.820 0.788
F5 F 0.046 0.142 0.537
F6 F 0.056 0.144 0.039
F7 F 0.296 0.550 0.039
F8 F 0.297 0.160 0.289
F9 F 0.315 0.542 0.537
F10 F 0.324 0.123 0.788
F11 F 0.328 0.834 0.644
F12 F 0.332 0.826 0.896
F13 F 0.332 0.837 0.393
F14 F 0.333 0.835 0.144
F15 F 0.336 0.446 0.712
F16 F 0.355 0.195 0.960
F17 F 0.362 0.187 0.462
F18 F 0.380 0.454 0.212
# * magnetization: 48.00 μB/cell

=====

Model 2:
# LiFeF3 (PBE+U, relaxed)
data_LiFeF3
_cell_length_a 3.160
_cell_length_b 14.744
_cell_length_c 5.023
_cell_angle_alpha 90.00
_cell_angle_beta 90.00
_cell_angle_gamma 90.00
_space_group_name_H-M_alt 'C m c 21'
_space_group_IT_number 36
_space_group_name_Hall 'C 2c -2'
loop_
_atom_site_label
_atom_site_type_symbol
_atom_site_fract_x
_atom_site_fract_y
_atom_site_fract_z
Li1 Li 0.000 0.031 0.000
Fe1 Fe 0.000 0.332 0.031
F1 F 0.000 0.097 0.331
F2 F 0.000 0.229 0.757
F3 F 0.000 0.439 0.283
# * magnetization: 16.00 μB/cell

=====

Model 3:
# LiFeF3 (PBE+U, relaxed)
data_LiFeF3
_cell_length_a 7.839
_cell_length_b 3.031
_cell_length_c 9.990
_cell_angle_alpha 90.00
_cell_angle_beta 90.00
_cell_angle_gamma 90.00
_space_group_name_H-M_alt 'P n m a'
_space_group_IT_number 62
_space_group_name_Hall '-P 2ac 2n'
loop_
_atom_site_label
_atom_site_type_symbol
_atom_site_fract_x
_atom_site_fract_y
_atom_site_fract_z
Li1 Li 0.003 0.250 0.186
Fe1 Fe 0.191 0.750 0.486
F1 F 0.026 0.250 0.389
F2 F 0.150 0.250 0.836
F3 F 0.175 0.750 0.088
# * magnetization: 16.00 μB/cell

=====

Here are the energies relative to the best structure, in eV/atom: model 1 0.045; model 2 0.000; model 3 0.059.